1.
# CsSi meta-GGA r2SCAN relaxed
data_CsSi
_cell_length_a 13.624
_cell_length_b 13.624
_cell_length_c 13.624
_cell_angle_alpha 90.00
_cell_angle_beta 90.00
_cell_angle_gamma 90.00
_space_group_name_H-M_alt 'P -4 3 n'
_space_group_IT_number 218
_space_group_name_Hall 'P -4n 2 3'
loop_
_atom_site_label
_atom_site_type_symbol
_atom_site_fract_x
_atom_site_fract_y
_atom_site_fract_z
_atom_site_occupancy
Cs1 Cs 0.066 0.142 0.337 1
Cs2 Cs 0.167 0.167 0.833 1
Si1 Si 0.059 0.433 0.312 1
Si2 Si 0.063 0.063 0.063 1
# energy = -17.093 eV per atom
# relative energy among the computed polymorphs = 0.0 meV per atom
# magnetic moment = 0.0 Bohr magnetons per cell



2.
# CsSi meta-GGA r2SCAN relaxed
data_CsSi
_cell_length_a 11.420
_cell_length_b 11.420
_cell_length_c 18.601
_cell_angle_alpha 90.00
_cell_angle_beta 90.00
_cell_angle_gamma 90.00
_space_group_name_H-M_alt 'I 41/a c d'
_space_group_IT_number 142
loop_
_space_group_symop_operation_xyz
'x,y,z'
'-x,-y,-z'
'-y+1/4,x+3/4,z+1/4'
'y+1/4,-x+3/4,-z+1/4'
'-x+1/2,-y,z+1/2'
'x+1/2,y,-z+1/2'
'y+1/4,-x+1/4,z+3/4'
'-y+1/4,x+1/4,-z+3/4'
'x,-y,-z+1/2'
'-x,y,z+1/2'
'-y+1/4,-x+1/4,-z+1/4'
'y+1/4,x+1/4,z+1/4'
'-x+1/2,y,-z'
'x+1/2,-y,z'
'y+1/4,x+3/4,-z+3/4'
'-y+1/4,-x+3/4,z+3/4'
'x+1/2,y+1/2,z+1/2'
'-x+1/2,-y+1/2,-z+1/2'
'-y+3/4,x+1/4,z+3/4'
'y+3/4,-x+1/4,-z+3/4'
'-x,-y+1/2,z'
'x,y+1/2,-z'
'y+3/4,-x+3/4,z+1/4'
'-y+3/4,x+3/4,-z+1/4'
'x+1/2,-y+1/2,-z'
'-x+1/2,y+1/2,z'
'-y+3/4,-x+3/4,-z+3/4'
'y+3/4,x+3/4,z+3/4'
'-x,y+1/2,-z+1/2'
'x,-y+1/2,z+1/2'
'y+3/4,x+1/4,-z+1/4'
'-y+3/4,-x+1/4,z+1/4'
loop_
_atom_site_label
_atom_site_type_symbol
_atom_site_fract_x
_atom_site_fract_y
_atom_site_fract_z
_atom_site_occupancy
Cs1 Cs 0.120 0.130 0.125 1
Cs2 Cs 0.141 0.000 0.750 1
Si1 Si 0.056 0.160 0.921 1
# energy = -17.080 eV per atom
# relative energy among the computed polymorphs = 13.2 meV per atom
# magnetic moment = 0.0 Bohr magnetons per cell



3.
# CsSiTe3 meta-GGA r2SCAN relaxed
data_CsSiTe3
_cell_length_a 8.547
_cell_length_b 14.196
_cell_length_c 13.561
_cell_angle_alpha 90.00
_cell_angle_beta 100.64
_cell_angle_gamma 90.00
_space_group_name_H-M_alt 'C 1 c 1'
_space_group_IT_number 9
_space_group_name_Hall 'C -2yc'
loop_
_atom_site_label
_atom_site_type_symbol
_atom_site_fract_x
_atom_site_fract_y
_atom_site_fract_z
_atom_site_occupancy
Cs1 Cs 0.000 0.092 0.000 1
Cs2 Cs 0.405 0.250 0.225 1
Si1 Si 0.046 0.445 0.025 1
Si2 Si 0.408 0.077 0.781 1
Te1 Te 0.018 0.385 0.463 1
Te2 Te 0.137 0.495 0.210 1
Te3 Te 0.171 0.025 0.279 1
Te4 Te 0.238 0.349 0.958 1
Te5 Te 0.267 0.132 0.498 1
Te6 Te 0.349 0.230 0.688 1
# energy = -22.607 eV per atom
# magnetic moment = 0.0 Bohr magnetons per cell



4.
# CsSn3 meta-GGA r2SCAN relaxed
data_CsSn3
_cell_length_a 8.2129
_cell_length_b 8.2129
_cell_length_c 5.5043
_cell_angle_alpha 90.00
_cell_angle_beta 90.00
_cell_angle_gamma 120.00
_space_group_name_H-M_alt 'P 63/m m c'
_space_group_IT_number 194
_space_group_name_Hall '-P 6c 2c'
loop_
_atom_site_label
_atom_site_type_symbol
_atom_site_fract_x
_atom_site_fract_y
_atom_site_fract_z
_atom_site_occupancy
Cs1 Cs 0.3333 0.6667 0.2500 1
Sn1 Sn 0.1222 0.2445 0.7500 1
# energy = -25.006 eV per atom
# magnetic moment = 0.0 Bohr magnetons per cell



5.
# Cs4Sn2Te7 meta-GGA r2SCAN relaxed
data_Cs4Sn2Te7
_cell_length_a 16.777
_cell_length_b 8.001
_cell_length_c 19.451
_cell_angle_alpha 90.00
_cell_angle_beta 105.94
_cell_angle_gamma 90.00
_space_group_name_H-M_alt 'C 1 2/c 1'
_space_group_IT_number 15
_space_group_name_Hall '-C 2yc'
loop_
_atom_site_label
_atom_site_type_symbol
_atom_site_fract_x
_atom_site_fract_y
_atom_site_fract_z
_atom_site_occupancy
Cs1 Cs 0.088 0.229 0.438 1
Cs2 Cs 0.245 0.215 0.853 1
Sn1 Sn 0.046 0.267 0.654 1
Te1 Te 0.000 0.043 0.750 1
Te2 Te 0.076 0.436 0.237 1
Te3 Te 0.085 0.277 0.963 1
Te4 Te 0.201 0.205 0.644 1
# energy = -26.043 eV per atom
# magnetic moment = 0.0 Bohr magnetons per cell



6.
# Cs3SnTe3 meta-GGA r2SCAN relaxed
data_Cs3SnTe3
_cell_length_a 17.766
_cell_length_b 14.632
_cell_length_c 10.455
_cell_angle_alpha 90.00
_cell_angle_beta 96.73
_cell_angle_gamma 90.00
_space_group_name_H-M_alt 'C 1 2/c 1'
_space_group_IT_number 15
_space_group_name_Hall '-C 2yc'
loop_
_atom_site_label
_atom_site_type_symbol
_atom_site_fract_x
_atom_site_fract_y
_atom_site_fract_z
_atom_site_occupancy
Cs1 Cs 0.000 0.087 0.250 1
Cs2 Cs 0.000 0.395 0.250 1
Cs3 Cs 0.093 0.308 0.634 1
Cs4 Cs 0.218 0.026 0.687 1
Sn1 Sn 0.176 0.258 0.045 1
Te1 Te 0.080 0.129 0.925 1
Te2 Te 0.118 0.430 0.978 1
Te3 Te 0.187 0.234 0.310 1
# energy = -26.245 eV per atom
# magnetic moment = 0.0 Bohr magnetons per cell



7.
# CsTaTe3 meta-GGA r2SCAN relaxed
data_CsTaTe3
_cell_length_a 8.2590
_cell_length_b 8.2590
_cell_length_c 6.3629
_cell_angle_alpha 90.00
_cell_angle_beta 90.00
_cell_angle_gamma 120.00
_space_group_name_H-M_alt 'P 63 m c'
_space_group_IT_number 186
_space_group_name_Hall 'P 6c -2c'
loop_
_atom_site_label
_atom_site_type_symbol
_atom_site_fract_x
_atom_site_fract_y
_atom_site_fract_z
_atom_site_occupancy
Cs1 Cs 0.3333 0.6667 0.0000 1
Ta1 Ta 0.0000 0.0000 0.2616 1
Te1 Te 0.1607 0.3214 0.5030 1
# energy = -30.736 eV per atom
# magnetic moment = 0.0 Bohr magnetons per cell



8.
# Cs2Te3 meta-GGA r2SCAN relaxed
data_Cs2Te3
_cell_length_a 8.692
_cell_length_b 12.355
_cell_length_c 8.766
_cell_angle_alpha 90.00
_cell_angle_beta 90.00
_cell_angle_gamma 90.00
_space_group_name_H-M_alt 'C m c 21'
_space_group_IT_number 36
_space_group_name_Hall 'C 2c -2'
loop_
_atom_site_label
_atom_site_type_symbol
_atom_site_fract_x
_atom_site_fract_y
_atom_site_fract_z
_atom_site_occupancy
Cs1 Cs 0.000 0.083 0.000 1
Cs2 Cs 0.000 0.408 0.783 1
Te1 Te 0.000 0.284 0.341 1
Te2 Te 0.248 0.333 0.150 1
# energy = -26.202 eV per atom
# magnetic moment = 0.0 Bohr magnetons per cell



9.
# CsTe4 meta-GGA r2SCAN relaxed
data_CsTe4
_cell_length_a 8.072
_cell_length_b 7.371
_cell_length_c 14.318
_cell_angle_alpha 90.00
_cell_angle_beta 94.95
_cell_angle_gamma 90.00
_space_group_name_H-M_alt 'P 1 21/c 1'
_space_group_IT_number 14
_space_group_name_Hall '-P 2ybc'
loop_
_atom_site_label
_atom_site_type_symbol
_atom_site_fract_x
_atom_site_fract_y
_atom_site_fract_z
_atom_site_occupancy
Cs1 Cs 0.142 0.122 0.350 1
Te1 Te 0.124 0.609 0.467 1
Te2 Te 0.347 0.516 0.210 1
Te3 Te 0.377 0.555 0.625 1
Te4 Te 0.460 0.195 0.569 1
# energy = -25.834 eV per atom
# magnetic moment = 0.0 Bohr magnetons per cell



10.
# Cs3Tm11Te18 meta-GGA r2SCAN relaxed
data_Cs3Tm11Te18
_cell_length_a 26.814
_cell_length_b 4.357
_cell_length_c 20.331
_cell_angle_alpha 90.00
_cell_angle_beta 100.13
_cell_angle_gamma 90.00
_space_group_name_H-M_alt 'C 1 2/m 1'
_space_group_IT_number 12
_space_group_name_Hall '-C 2y'
loop_
_atom_site_label
_atom_site_type_symbol
_atom_site_fract_x
_atom_site_fract_y
_atom_site_fract_z
_atom_site_occupancy
Cs1 Cs 0.000 0.000 0.000 1
Cs2 Cs 0.196 0.500 0.592 1
Tm1 Tm 0.000 0.500 0.500 1
Tm2 Tm 0.032 0.000 0.759 1
Tm3 Tm 0.093 0.000 0.373 1
Tm4 Tm 0.154 0.500 0.225 1
Tm5 Tm 0.162 0.500 0.818 1
Tm6 Tm 0.204 0.000 0.071 1
Te1 Te 0.006 0.500 0.350 1
Te2 Te 0.061 0.500 0.860 1
Te3 Te 0.076 0.000 0.219 1
Te4 Te 0.080 0.000 0.515 1
Te5 Te 0.129 0.500 0.071 1
Te6 Te 0.134 0.000 0.719 1
Te7 Te 0.172 0.500 0.379 1
Te8 Te 0.209 0.000 0.922 1
Te9 Te 0.232 0.000 0.222 1
# energy = -30.372 eV per atom
# magnetic moment = 0.0 Bohr magnetons per cell



11.
# Cs3Yb meta-GGA r2SCAN relaxed
data_Cs3Yb
_cell_length_a 9.4923
_cell_length_b 9.4923
_cell_length_c 7.7940
_cell_angle_alpha 90.00
_cell_angle_beta 90.00
_cell_angle_gamma 120.00
_space_group_name_H-M_alt 'P 63/m m c'
_space_group_IT_number 194
_space_group_name_Hall '-P 6c 2c'
loop_
_atom_site_label
_atom_site_type_symbol
_atom_site_fract_x
_atom_site_fract_y
_atom_site_fract_z
_atom_site_occupancy
Cs1 Cs 0.1773 0.3546 0.2500 1
Yb1 Yb 0.3333 0.6667 0.7500 1
# energy = -27.305 eV per atom
# relative energy among the computed polymorphs = 0.0 meV per atom
# magnetic moment = 2.6 Bohr magnetons per cell



12.
# CsYb3 meta-GGA r2SCAN relaxed
data_CsYb3
_cell_length_a 8.307
_cell_length_b 8.307
_cell_length_c 8.307
_cell_angle_alpha 90.00
_cell_angle_beta 90.00
_cell_angle_gamma 90.00
_space_group_name_H-M_alt 'F m -3 m'
_space_group_IT_number 225
_space_group_name_Hall '-F 4 2 3'
loop_
_atom_site_label
_atom_site_type_symbol
_atom_site_fract_x
_atom_site_fract_y
_atom_site_fract_z
_atom_site_occupancy
Cs1 Cs 0.000 0.000 0.000 1
Yb1 Yb 0.000 0.000 0.500 1
Yb2 Yb 0.250 0.250 0.250 1
# energy = -32.891 eV per atom
# relative energy among the computed polymorphs = 21.4 meV per atom
# magnetic moment = 8.0 Bohr magnetons per cell